Computed, not measured: CdAg after structural relaxation at the meta-GGA r2SCAN level of DFT.

Cell: 3.3527 3.3527 3.3527 Å, 90.00 90.00 90.00°
Atoms (fractional coordinates):
Cd  0.5000  0.5000  0.5000
Ag  0.0000  0.0000  0.0000

**Formation energy from the elements**: -53 meV/atom
**Total magnetization**: 0.00 μB per atom
**Space-group type**: Pm-3m, No. 221